# 1
## Cs2AgI3 (r²SCAN)

Data for a geometry-optimized Cs2AgI3 structure.

Energy of formation from the pure elements: -1.30 eV/atom
SG: Pnma (62)
Magnetization: 0.0 μB/f.u.

Geometry as POSCAR:
```
Cs2AgI3
1.0
14.7587 0.0000 0.0000
0.0000 5.0004 0.0000
0.0000 0.0000 15.4923
Cs Ag I
8 4 12
Direct
0.0136 0.2500 0.1755 Cs
0.1756 0.2500 0.5175 Cs
0.3244 0.7500 0.0175 Cs
0.4864 0.7500 0.6755 Cs
0.5136 0.2500 0.3245 Cs
0.6756 0.2500 0.9825 Cs
0.8244 0.7500 0.4825 Cs
0.9864 0.7500 0.8245 Cs
0.2446 0.7500 0.3055 Ag
0.2554 0.2500 0.8055 Ag
0.7446 0.7500 0.1945 Ag
0.7554 0.2500 0.6945 Ag
0.0595 0.7500 0.3608 I
0.1349 0.2500 0.9494 I
0.2239 0.7500 0.7128 I
0.2761 0.2500 0.2128 I
0.3651 0.7500 0.4494 I
0.4405 0.2500 0.8608 I
0.5595 0.7500 0.1392 I
0.6349 0.2500 0.5506 I
0.7239 0.7500 0.7872 I
0.7761 0.2500 0.2872 I
0.8651 0.7500 0.0506 I
0.9405 0.2500 0.6392 I
```

=====

# 2
## ErMo6S8 (r²SCAN)

Data for a geometry-optimized ErMo6S8 structure.

Energy of formation from the pure elements: -1.04 eV/atom
SG: R-3 (148)
Magnetization: 0.0 μB/f.u.

Geometry as POSCAR:
```
ErMo6S8
1.0
4.5587 2.6320 3.7585
-4.5587 2.6320 3.7585
0.0000 -5.2640 3.7585
Er Mo S
1 6 8
Direct
0.0000 0.0000 0.0000 Er
0.2257 0.4202 0.5597 Mo
0.4202 0.5597 0.2257 Mo
0.4403 0.7743 0.5798 Mo
0.5597 0.2257 0.4202 Mo
0.5798 0.4403 0.7743 Mo
0.7743 0.5798 0.4403 Mo
0.1272 0.7521 0.3674 S
0.2371 0.2371 0.2371 S
0.2479 0.6326 0.8728 S
0.3674 0.1272 0.7521 S
0.6326 0.8728 0.2479 S
0.7521 0.3674 0.1272 S
0.7629 0.7629 0.7629 S
0.8728 0.2479 0.6326 S
```